Entry 1:
Entry from the Materials Project database: a relaxed Li2Fe3Co7O20 crystal (GGA+U).

## Properties
Formation enthalpy at 0 K in eV per formula unit: -40.89
Energy with MP2020 corrections in eV per cell: -218.83
Volume in A^3/atom: 10.7

Lattice parameters (Å, degrees): 5.8651 2.8806 20.5124 90.00 97.41 90.00
Last column: nearest neighbours and their distance in Å.
Fractional coordinates of all 32 atoms:
1 Li 0.0000 0.0000 0.0000  6 O 2.10-2.13
2 Li 0.0000 0.5000 0.5000  6 O 2.14-2.20
3 Fe 0.0988 0.0000 0.2021  6 O 1.95-2.04
4 Fe 0.5000 0.0000 0.0000  6 O 1.99-2.00
5 Fe 0.9012 0.0000 0.7979  6 O 1.95-2.04
6 Co 0.1035 0.5000 0.6969  6 O 1.85-1.91
7 Co 0.3075 0.5000 0.1025  6 O 1.84-1.91
8 Co 0.3181 0.0000 0.6012  6 O 1.87-1.91
9 Co 0.5000 0.5000 0.5000  6 O 1.88-1.93
10 Co 0.6819 0.0000 0.3988  6 O 1.87-1.91
11 Co 0.6925 0.5000 0.8975  6 O 1.84-1.91
12 Co 0.8965 0.5000 0.3031  6 O 1.85-1.91
13 O 0.0942 0.0000 0.1023  2 Co 1.91, 1 Fe 2.04, 1 Li 2.10
14 O 0.1027 0.0000 0.3008  2 Co 1.89, 1 Fe 2.02
15 O 0.1049 0.5000 0.6038  3 Co 1.91, 1 Li 2.14
16 O 0.1206 0.5000 0.7874  1 Co 1.85, 2 Fe 1.96
17 O 0.2692 0.5000 0.0091  1 Co 1.90, 2 Fe 2.00
18 O 0.2851 0.0000 0.5074  3 Co 1.91-1.93
19 O 0.3129 0.0000 0.6920  3 Co 1.87-1.90
20 O 0.3171 0.5000 0.1923  1 Co 1.84, 2 Fe 1.95
21 O 0.4811 0.5000 0.4078  3 Co 1.88
22 O 0.4884 0.0000 0.9024  2 Co 1.88, 1 Fe 1.99
23 O 0.5116 0.0000 0.0976  2 Co 1.88, 1 Fe 1.99
24 O 0.5189 0.5000 0.5922  3 Co 1.88
25 O 0.6829 0.5000 0.8077  1 Co 1.84, 2 Fe 1.95
26 O 0.6871 0.0000 0.3080  3 Co 1.87-1.90
27 O 0.7149 0.0000 0.4926  3 Co 1.91-1.93
28 O 0.7308 0.5000 0.9909  1 Co 1.90, 2 Fe 2.00
29 O 0.8794 0.5000 0.2126  1 Co 1.85, 2 Fe 1.96
30 O 0.8951 0.5000 0.3962  3 Co 1.91, 1 Li 2.14
31 O 0.8973 0.0000 0.6992  2 Co 1.89, 1 Fe 2.02
32 O 0.9058 0.0000 0.8977  2 Co 1.91, 1 Fe 2.04, 1 Li 2.10

***

Entry 2:
Entry from the Materials Project database: a relaxed Rb2NiH12S2O14 crystal (GGA+U).

## Properties
Formation enthalpy at 0 K in eV per formula unit: -49.76
Energy with MP2020 corrections in eV per cell: -351.52
Volume in A^3/atom: 11.2

Lattice parameters (Å, degrees): 6.3186 12.5130 9.1381 90.00 105.51 90.00
Last column: nearest neighbours and their distance in Å.
Fractional coordinates of all 62 atoms:
1 Rb 0.1530 0.1491 0.3696  8 O 2.92-3.23, 1 H 3.08
2 Rb 0.1530 0.3509 0.8696  8 O 2.92-3.23, 1 H 3.08
3 Rb 0.8470 0.6491 0.1304  8 O 2.92-3.23, 1 H 3.08
4 Rb 0.8470 0.8509 0.6304  8 O 2.92-3.23, 1 H 3.08
5 Ni 0.5000 0.0000 0.0000  6 O 2.03-2.12
6 Ni 0.5000 0.5000 0.5000  6 O 2.03-2.12
7 H 0.1683 0.5585 0.5990  1 O 0.99
8 H 0.1683 0.9415 0.0990  1 O 0.99
9 H 0.1838 0.0937 0.7898  1 O 1.00
10 H 0.1838 0.4063 0.2898  1 O 1.00
11 H 0.1843 0.6411 0.4723  1 O 1.00
12 H 0.1843 0.8589 0.9723  1 O 1.00
13 H 0.4150 0.1275 0.7588  1 O 0.99
14 H 0.4150 0.3725 0.2588  1 O 0.99
15 H 0.4259 0.5967 0.2255  1 O 1.00
16 H 0.4259 0.9033 0.7255  1 O 1.00
17 H 0.4937 0.6850 0.3538  1 O 1.00
18 H 0.4937 0.8150 0.8538  1 O 1.00
19 H 0.5063 0.1850 0.1462  1 O 1.00
20 H 0.5063 0.3150 0.6462  1 O 1.00
21 H 0.5741 0.0967 0.2745  1 O 1.00
22 H 0.5741 0.4033 0.7745  1 O 1.00
23 H 0.5850 0.6275 0.7412  1 O 0.99
24 H 0.5850 0.8725 0.2412  1 O 0.99
25 H 0.8157 0.1411 0.0277  1 O 1.00
26 H 0.8157 0.3589 0.5277  1 O 1.00
27 H 0.8162 0.5937 0.7102  1 O 1.00
28 H 0.8162 0.9063 0.2102  1 O 1.00
29 H 0.8317 0.0585 0.9010  1 O 0.99
30 H 0.8317 0.4415 0.4010  1 O 0.99
31 S 0.2317 0.6415 0.9015  4 O 1.49-1.50
32 S 0.2317 0.8585 0.4015  4 O 1.49-1.50
33 S 0.7683 0.1415 0.5985  4 O 1.49-1.50
34 S 0.7683 0.3585 0.0985  4 O 1.49-1.50
35 O 0.0944 0.7366 0.9137  1 S 1.49, 1 H 1.67
36 O 0.0944 0.7634 0.4137  1 S 1.49, 1 H 1.67
37 O 0.1066 0.5741 0.7713  1 S 1.50
38 O 0.1066 0.9259 0.2713  1 S 1.50
39 O 0.2047 0.5640 0.5000  2 H 0.99-1.00
40 O 0.2047 0.9360 0.0000  2 H 0.99-1.00
41 O 0.2748 0.5765 0.0427  1 S 1.49
42 O 0.2748 0.9235 0.5427  1 S 1.49
43 O 0.3390 0.1138 0.8391  2 H 0.99-1.00
44 O 0.3390 0.3862 0.3391  2 H 0.99-1.00
45 O 0.4440 0.6779 0.8735  1 S 1.50
46 O 0.4440 0.8221 0.3735  1 S 1.50
47 O 0.4744 0.1103 0.1713  2 H 1.00
48 O 0.4744 0.3897 0.6713  2 H 1.00
49 O 0.5256 0.6103 0.3287  2 H 1.00
50 O 0.5256 0.8897 0.8287  2 H 1.00
51 O 0.5560 0.1779 0.6265  1 S 1.50
52 O 0.5560 0.3221 0.1265  1 S 1.50
53 O 0.6610 0.6138 0.6609  2 H 0.99-1.00
54 O 0.6610 0.8862 0.1609  2 H 0.99-1.00
55 O 0.7252 0.0765 0.4573  1 S 1.49
56 O 0.7252 0.4235 0.9573  1 S 1.49
57 O 0.7953 0.0640 0.0000  2 H 0.99-1.00
58 O 0.7953 0.4360 0.5000  2 H 0.99-1.00
59 O 0.8934 0.0741 0.7287  1 S 1.50
60 O 0.8934 0.4259 0.2287  1 S 1.50
61 O 0.9056 0.2366 0.5863  1 S 1.49, 1 H 1.67
62 O 0.9056 0.2634 0.0863  1 S 1.49, 1 H 1.67